Density functional theory data (PBE+U) for an optimized crystal structure of BaSr3Co2Cu2O10.

a = 11.145 Å, b = 11.099 Å, c = 17.912 Å
α = 108.11°, β = 108.21°, γ = 89.71°
Atoms (fractional coordinates):
Cu: 0.121 0.113 0.256
Cu: 0.376 0.899 0.257
Cu: 0.122 0.605 0.255
Cu: 0.867 0.896 0.256
Cu: 0.370 0.899 0.746
Cu: 0.876 0.398 0.258
Cu: 0.622 0.613 0.258
Cu: 0.612 0.600 0.747
Cu: 0.119 0.594 0.746
Cu: 0.622 0.105 0.256
Cu: 0.365 0.396 0.747
Cu: 0.860 0.902 0.748
Cu: 0.863 0.389 0.746
Cu: 0.115 0.106 0.745
Cu: 0.368 0.396 0.256
Cu: 0.613 0.102 0.748
Ba: 0.183 0.940 0.874
Ba: 0.058 0.811 0.119
Ba: 0.933 0.685 0.874
Ba: 0.556 0.313 0.119
Ba: 0.808 0.059 0.120
Ba: 0.310 0.557 0.119
Ba: 0.807 0.557 0.120
Ba: 0.308 0.056 0.119
O: 0.938 0.410 0.859
O: 0.438 0.912 0.859
O: 0.440 0.910 0.368
O: 0.327 0.299 0.636
O: 0.708 0.455 0.751
O: 0.631 0.867 0.999
O: 0.615 0.615 0.496
O: 0.366 0.631 0.496
O: 0.859 0.629 0.992
O: 0.578 0.584 0.636
O: 0.135 0.869 0.505
O: 0.188 0.207 0.368
O: 0.450 0.548 0.746
O: 0.710 0.953 0.253
O: 0.127 0.362 0.998
O: 0.072 0.094 0.145
O: 0.332 0.800 0.636
O: 0.338 0.813 0.146
O: 0.976 0.546 0.266
O: 0.320 0.311 0.143
O: 0.865 0.629 0.496
O: 0.113 0.116 0.496
O: 0.477 0.536 0.263
O: 0.608 0.115 0.991
O: 0.190 0.686 0.859
O: 0.211 0.962 0.735
O: 0.675 0.698 0.861
O: 0.366 0.627 0.994
O: 0.957 0.047 0.749
O: 0.227 0.975 0.260
O: 0.454 0.055 0.749
O: 0.885 0.885 0.506
O: 0.697 0.204 0.366
O: 0.727 0.475 0.262
O: 0.861 0.134 0.995
O: 0.475 0.047 0.267
O: 0.611 0.115 0.496
O: 0.690 0.707 0.369
O: 0.205 0.439 0.748
O: 0.082 0.589 0.637
O: 0.385 0.879 0.998
O: 0.437 0.416 0.859
O: 0.113 0.610 0.994
O: 0.187 0.198 0.859
O: 0.135 0.370 0.507
O: 0.925 0.926 0.862
O: 0.696 0.944 0.747
O: 0.071 0.577 0.142
O: 0.613 0.619 0.993
O: 0.211 0.453 0.253
O: 0.821 0.810 0.144
O: 0.362 0.131 0.496
O: 0.978 0.035 0.264
O: 0.133 0.861 0.998
O: 0.066 0.089 0.633
O: 0.834 0.314 0.146
O: 0.196 0.706 0.365
O: 0.880 0.886 0.000
O: 0.375 0.381 0.997
O: 0.109 0.117 0.994
O: 0.576 0.088 0.637
O: 0.115 0.616 0.496
O: 0.885 0.387 0.507
O: 0.572 0.082 0.144
O: 0.360 0.128 0.992
O: 0.385 0.888 0.507
O: 0.879 0.383 0.997
O: 0.635 0.869 0.507
O: 0.935 0.912 0.368
O: 0.573 0.594 0.147
O: 0.828 0.800 0.638
O: 0.942 0.409 0.369
O: 0.688 0.198 0.861
O: 0.384 0.388 0.507
O: 0.626 0.368 0.997
O: 0.862 0.129 0.496
O: 0.816 0.293 0.634
O: 0.437 0.412 0.367
O: 0.633 0.367 0.504
O: 0.960 0.522 0.734
Sr: 0.941 0.696 0.390
Sr: 0.691 0.444 0.387
Sr: 0.057 0.308 0.112
Sr: 0.691 0.945 0.388
Sr: 0.190 0.946 0.387
Sr: 0.050 0.307 0.614
Sr: 0.438 0.196 0.390
Sr: 0.054 0.804 0.612
Sr: 0.559 0.806 0.112
Sr: 0.303 0.059 0.615
Sr: 0.557 0.803 0.613
Sr: 0.445 0.695 0.390
Sr: 0.558 0.307 0.615
Sr: 0.806 0.056 0.614
Sr: 0.444 0.691 0.884
Sr: 0.307 0.560 0.612
Sr: 0.940 0.193 0.883
Sr: 0.191 0.439 0.884
Sr: 0.805 0.557 0.611
Sr: 0.690 0.942 0.884
Sr: 0.192 0.445 0.388
Sr: 0.437 0.197 0.884
Sr: 0.946 0.194 0.390
Sr: 0.689 0.442 0.885
Co: 0.250 0.252 0.503
Co: 0.246 0.743 0.988
Co: 0.741 0.744 0.990
Co: 0.251 0.752 0.500
Co: 0.492 0.496 0.988
Co: 0.498 0.000 0.500
Co: 0.499 0.499 0.500
Co: 0.243 0.246 0.989
Co: 0.000 0.499 0.499
Co: 0.999 0.001 0.501
Co: 0.747 0.249 0.498
Co: 0.990 0.999 0.990
Co: 0.749 0.750 0.500
Co: 0.740 0.245 0.987
Co: 0.994 0.493 0.991
Co: 0.493 0.994 0.988

Values from the calculation:
The space-group type is P1. The formation enthalpy at 0 K comes out at -1976 meV/atom.

Density functional theory data (PBE+U) for an optimized crystal structure of Ba3SrCoCu3O10.

a = 11.425 Å, b = 11.417 Å, c = 18.042 Å
α = 108.42°, β = 108.48°, γ = 89.86°
Atoms (fractional coordinates):
O: 0.625 0.369 0.506
O: 0.429 0.405 0.860
O: 0.856 0.863 0.002
O: 0.609 0.387 0.001
O: 0.490 0.006 0.250
O: 0.083 0.589 0.644
O: 0.881 0.612 0.995
O: 0.239 0.994 0.250
O: 0.626 0.136 0.994
O: 0.934 0.416 0.861
O: 0.623 0.626 0.501
O: 0.926 0.910 0.359
O: 0.188 0.198 0.856
O: 0.562 0.088 0.136
O: 0.976 0.024 0.743
O: 0.116 0.131 0.500
O: 0.927 0.914 0.858
O: 0.569 0.098 0.640
O: 0.125 0.379 0.508
O: 0.926 0.396 0.354
O: 0.495 0.503 0.250
O: 0.564 0.586 0.137
O: 0.482 0.027 0.759
O: 0.633 0.638 0.996
O: 0.978 0.515 0.748
O: 0.676 0.693 0.853
O: 0.131 0.630 0.993
O: 0.736 0.988 0.246
O: 0.318 0.307 0.638
O: 0.634 0.881 0.511
O: 0.813 0.300 0.134
O: 0.380 0.113 0.994
O: 0.609 0.889 0.003
O: 0.876 0.109 0.995
O: 0.679 0.699 0.359
O: 0.877 0.625 0.502
O: 0.828 0.800 0.640
O: 0.881 0.881 0.512
O: 0.734 0.993 0.748
O: 0.821 0.801 0.137
O: 0.212 0.452 0.752
O: 0.176 0.702 0.357
O: 0.870 0.125 0.499
O: 0.987 0.022 0.259
O: 0.365 0.369 0.999
O: 0.356 0.863 0.001
O: 0.176 0.201 0.361
O: 0.123 0.626 0.503
O: 0.317 0.799 0.143
O: 0.431 0.415 0.365
O: 0.858 0.363 0.001
O: 0.685 0.196 0.359
O: 0.374 0.380 0.507
O: 0.745 0.496 0.250
O: 0.616 0.119 0.503
O: 0.824 0.292 0.639
O: 0.994 0.502 0.250
O: 0.063 0.086 0.138
O: 0.323 0.797 0.643
O: 0.371 0.131 0.501
O: 0.377 0.608 0.990
O: 0.386 0.890 0.508
O: 0.463 0.523 0.743
O: 0.426 0.920 0.864
O: 0.675 0.200 0.862
O: 0.128 0.878 0.510
O: 0.431 0.917 0.365
O: 0.218 0.971 0.737
O: 0.368 0.628 0.500
O: 0.181 0.695 0.862
O: 0.063 0.098 0.637
O: 0.881 0.375 0.507
O: 0.317 0.301 0.143
O: 0.244 0.497 0.250
O: 0.122 0.127 0.994
O: 0.110 0.387 0.000
O: 0.719 0.464 0.739
O: 0.105 0.884 0.000
O: 0.064 0.584 0.135
O: 0.560 0.578 0.633
Ba: 0.693 0.947 0.385
Ba: 0.551 0.813 0.120
Ba: 0.186 0.448 0.384
Ba: 0.804 0.552 0.616
Ba: 0.684 0.944 0.878
Ba: 0.935 0.187 0.879
Ba: 0.302 0.054 0.119
Ba: 0.558 0.810 0.619
Ba: 0.442 0.689 0.385
Ba: 0.307 0.552 0.119
Ba: 0.694 0.446 0.386
Ba: 0.438 0.188 0.384
Ba: 0.438 0.690 0.880
Ba: 0.933 0.687 0.878
Ba: 0.058 0.313 0.119
Ba: 0.805 0.555 0.120
Ba: 0.552 0.317 0.120
Ba: 0.806 0.057 0.121
Ba: 0.940 0.688 0.385
Ba: 0.684 0.443 0.879
Ba: 0.059 0.814 0.120
Ba: 0.183 0.945 0.877
Ba: 0.304 0.061 0.620
Ba: 0.186 0.952 0.386
Sr: 0.192 0.436 0.886
Sr: 0.549 0.308 0.609
Sr: 0.055 0.802 0.610
Sr: 0.441 0.195 0.888
Sr: 0.304 0.553 0.608
Sr: 0.945 0.195 0.393
Sr: 0.053 0.308 0.612
Sr: 0.808 0.054 0.612
Cu: 0.121 0.595 0.751
Cu: 0.868 0.391 0.748
Cu: 0.366 0.899 0.751
Cu: 0.245 0.246 0.995
Cu: 0.249 0.256 0.507
Cu: 0.004 0.503 0.509
Cu: 0.610 0.594 0.743
Cu: 0.120 0.606 0.248
Cu: 0.372 0.895 0.254
Cu: 0.499 0.500 0.503
Cu: 0.870 0.388 0.247
Cu: 0.118 0.109 0.251
Cu: 0.620 0.106 0.248
Cu: 0.362 0.396 0.749
Cu: 0.374 0.395 0.254
Cu: 0.616 0.110 0.750
Cu: 0.117 0.106 0.745
Cu: 0.622 0.607 0.249
Cu: 0.869 0.900 0.748
Cu: 0.752 0.252 0.506
Cu: 0.871 0.896 0.250
Cu: 0.001 0.005 0.508
Cu: 0.755 0.754 0.509
Cu: 0.250 0.753 0.507
Co: 0.487 0.491 0.995
Co: 0.745 0.250 0.000
Co: 0.999 0.005 0.998
Co: 0.242 0.742 0.991
Co: 0.998 0.501 0.997
Co: 0.502 0.005 0.506
Co: 0.749 0.752 0.005
Co: 0.496 0.004 0.999

Values from the calculation:
The space-group type is P1. The formation enthalpy at 0 K comes out at -1895 meV/atom.

Density functional theory data (PBE+U) for an optimized crystal structure of BaSr3Co2Cu2O12.

a = 7.840 Å, b = 7.840 Å, c = 7.851 Å
α = 90.00°, β = 90.00°, γ = 90.10°
Atoms (fractional coordinates):
Sr: 0.753 0.247 0.246
Sr: 0.754 0.246 0.755
Sr: 0.246 0.754 0.755
Sr: 0.246 0.246 0.245
Sr: 0.754 0.754 0.245
Sr: 0.247 0.753 0.246
O: 0.746 0.496 0.495
O: 0.747 0.497 0.005
O: 0.254 0.504 0.495
O: 0.994 0.251 0.007
O: 0.000 0.000 0.748
O: 0.496 0.746 0.495
O: 0.500 0.000 0.744
O: 0.000 0.500 0.744
O: 0.000 0.500 0.254
O: 0.253 0.503 0.005
O: 0.996 0.256 0.494
O: 0.004 0.744 0.494
O: 0.256 0.996 0.494
O: 0.503 0.253 0.005
O: 0.744 0.004 0.494
O: 0.504 0.254 0.495
O: 0.500 0.000 0.254
O: 0.497 0.747 0.005
O: 0.749 0.006 0.007
O: 0.500 0.500 0.246
O: 0.500 0.500 0.756
O: 0.251 0.994 0.007
O: 0.000 0.000 0.252
O: 0.006 0.749 0.007
Cu: 0.000 0.500 0.001
Cu: 0.500 0.000 0.001
Cu: 0.000 0.000 0.499
Cu: 0.000 0.000 0.001
Ba: 0.248 0.248 0.753
Ba: 0.752 0.752 0.753
Co: 0.000 0.500 0.497
Co: 0.500 0.500 0.497
Co: 0.500 0.500 0.002
Co: 0.500 0.000 0.497

Values from the calculation:
The space-group type is Cmm2. The formation enthalpy at 0 K comes out at -1821 meV/atom.

Density functional theory data (PBE+U) for an optimized crystal structure of BaSr7Co4Cu4O24.

a = 7.790 Å, b = 7.790 Å, c = 7.790 Å
α = 90.08°, β = 90.08°, γ = 90.08°
Atoms (fractional coordinates):
O: 0.999 0.749 0.999
O: 0.746 0.500 0.999
O: 0.507 0.994 0.255
O: 0.507 0.255 0.994
O: 0.500 0.746 0.999
O: 0.505 0.255 0.505
O: 0.501 0.745 0.501
O: 0.255 0.994 0.507
O: 0.505 0.505 0.255
O: 0.994 0.994 0.251
O: 0.500 0.999 0.746
O: 0.999 0.746 0.500
O: 0.999 0.500 0.746
O: 0.501 0.501 0.745
O: 0.251 0.994 0.994
O: 0.746 0.999 0.500
O: 0.749 0.999 0.999
O: 0.255 0.505 0.505
O: 0.745 0.501 0.501
O: 0.994 0.255 0.507
O: 0.994 0.251 0.994
O: 0.255 0.507 0.994
O: 0.999 0.999 0.749
O: 0.994 0.507 0.255
Sr: 0.248 0.248 0.752
Sr: 0.752 0.248 0.248
Sr: 0.248 0.752 0.752
Sr: 0.752 0.752 0.752
Sr: 0.752 0.752 0.248
Sr: 0.248 0.752 0.248
Sr: 0.752 0.248 0.752
Co: 0.501 0.501 0.000
Co: 0.501 0.501 0.501
Co: 0.000 0.501 0.501
Co: 0.501 0.000 0.501
Cu: 0.500 0.000 0.000
Cu: 0.000 0.500 0.000
Cu: 0.000 0.000 0.000
Cu: 0.000 0.000 0.500
Ba: 0.249 0.249 0.249

Values from the calculation:
The space-group type is R3m. The formation enthalpy at 0 K comes out at -1830 meV/atom.

Density functional theory data (PBE+U) for an optimized crystal structure of Ba2Sr6Co5Cu3O24.

a = 7.900 Å, b = 7.770 Å, c = 7.891 Å
α = 89.93°, β = 90.00°, γ = 90.00°
Atoms (fractional coordinates):
O: 0.989 0.994 0.751
O: 0.991 0.499 0.251
O: 0.991 0.501 0.749
O: 0.508 0.005 0.248
O: 0.505 0.502 0.729
O: 0.506 0.767 0.500
O: 0.508 0.995 0.752
O: 0.251 0.500 0.000
O: 0.750 0.500 0.500
O: 0.989 0.006 0.249
O: 0.250 0.000 0.000
O: 0.995 0.740 0.503
O: 0.995 0.260 0.497
O: 0.506 0.734 0.997
O: 0.750 0.000 0.000
O: 0.251 0.500 0.500
O: 0.247 0.000 0.500
O: 0.754 0.000 0.500
O: 0.506 0.233 0.500
O: 0.995 0.261 0.003
O: 0.505 0.498 0.271
O: 0.995 0.739 0.997
O: 0.748 0.500 0.000
O: 0.506 0.266 0.003
Sr: 0.246 0.751 0.750
Sr: 0.754 0.752 0.250
Sr: 0.754 0.248 0.750
Sr: 0.246 0.249 0.250
Sr: 0.753 0.751 0.750
Sr: 0.753 0.249 0.250
Co: 0.503 0.500 0.500
Co: 0.998 0.500 0.500
Co: 0.507 0.000 0.500
Co: 0.997 0.500 0.000
Co: 0.502 0.500 0.000
Cu: 0.999 0.000 0.000
Cu: 0.001 0.000 0.500
Cu: 0.501 0.000 0.000
Ba: 0.248 0.752 0.250
Ba: 0.248 0.248 0.750

Values from the calculation:
The space-group type is P2. The formation enthalpy at 0 K comes out at -1861 meV/atom.

| no. | total moment (μB/cell) |
| --- | --- |
| 1 | 51.9 |
| 2 | 26.7 |
| 3 | 16.3 |
| 4 | 16.7 |
| 5 | 18.4 |